No. 1
{"formula": "CaNp", "functional": "GGA-PBE", "state": "optimized geometry", "m_tot_mub_per_atom": 2.568, "ef_ev_per_atom": 0.7380, "lattice_angstrom": [[1.6962, 0.9793, 6.2572], [-1.6962, 0.9793, 6.2572], [0.0000, -1.9587, 6.2572]], "species": ["Ca", "Np"], "fractional_positions": [[0.0000, 0.0000, 0.0000], [0.5000, 0.5000, 0.5000]]}

---

No. 2
{"formula": "CaNpP2O8", "functional": "GGA-PBE", "state": "optimized geometry", "m_tot_mub_per_atom": 0.250, "corrected_energy_ev_per_cell": -206.70, "ef_ev_per_atom": -3.1656, "lattice_angstrom": [[6.3745, 0.0000, 0.0000], [1.6121, 6.4970, 0.0000], [0.0364, 0.0622, 6.9054]], "species": ["Ca", "Ca", "Np", "Np", "P", "P", "P", "P", "O", "O", "O", "O", "O", "O", "O", "O", "O", "O", "O", "O", "O", "O", "O", "O"], "fractional_positions": [[0.0930, 0.2139, 0.1502], [0.9070, 0.7861, 0.8498], [0.3915, 0.2809, 0.6665], [0.6085, 0.7191, 0.3335], [0.1154, 0.6932, 0.3389], [0.3870, 0.8034, 0.8350], [0.6130, 0.1966, 0.1650], [0.8846, 0.3068, 0.6611], [0.0008, 0.6137, 0.1692], [0.0661, 0.2479, 0.5059], [0.1908, 0.9758, 0.8870], [0.2288, 0.8669, 0.2889], [0.3002, 0.6127, 0.7875], [0.3162, 0.5220, 0.4065], [0.4403, 0.2473, 0.0016], [0.4992, 0.8837, 0.6568], [0.5008, 0.1163, 0.3432], [0.5597, 0.7527, 0.9984], [0.6838, 0.4780, 0.5935], [0.6998, 0.3873, 0.2125], [0.7712, 0.1331, 0.7111], [0.8092, 0.0242, 0.1130], [0.9339, 0.7521, 0.4941], [0.9992, 0.3863, 0.8308]]}

---

Which formula does entry 2 have? CaNpP2O8